Entry from Materials Project: a relaxed Co2SiP4O14 crystal (PBE with a Hubbard U).

Unit cell a=17.1052 b=5.0241 c=12.4231 alpha=90.00 beta=103.06 gamma=90.00
Space group C2/c (No. 15)
Asymmetric unit:
Co1 0.2467 0.1511 0.1299 (multiplicity 8)
Si1 0.0000 0.1507 0.7500 (multiplicity 4)
P1 0.1260 0.3608 0.6355 (multiplicity 8)
P2 0.1357 0.1666 0.4154 (multiplicity 8)
O1 0.0458 0.3426 0.6787 (multiplicity 8)
O2 0.0628 0.0391 0.3319 (multiplicity 8)
O3 0.0940 0.2191 0.5174 (multiplicity 8)
O4 0.1440 0.3514 0.1209 (multiplicity 8)
O5 0.1557 0.4265 0.3689 (multiplicity 8)
O6 0.1929 0.1896 0.7045 (multiplicity 8)
O7 0.2026 0.0347 0.9535 (multiplicity 8)

* formation energy from the elements: -2.52 eV per atom
* total magnetic moment: 6.00 μB/f.u.
* uncorrected energy: -602.20 eV for the cell shown